No. 1
! DyNbO4, relaxed, DFT PBE; values from VASP
&SYSTEM
  ibrav = 0, nat = 12, ntyp = 3
/
ATOMIC_SPECIES
Dy 162.50 Dy.upf
Nb 92.91 Nb.upf
O 16.00 O.upf
CELL_PARAMETERS angstrom
5.639 2.417 0.739
-4.392 2.791 3.331
0.267 -5.879 1.883
ATOMIC_POSITIONS crystal
Dy 0.500 0.500 0.000
Dy 0.750 0.250 0.500
Nb 0.250 0.750 0.500
Nb 0.000 0.000 0.000
O 0.261 0.568 0.693
O 0.432 0.125 0.693
O 0.432 0.739 0.307
O 0.875 0.568 0.307
O 0.375 0.182 0.193
O 0.818 0.625 0.807
O 0.818 0.011 0.193
O 0.989 0.182 0.807
! Calculated volume (A^3/atom): 15.1
! Energy of formation (eV per atom): -3.49
! ρ (g/cm³): 5.9
! Space-group type: No. 141

---

No. 2
! CaHoPd2, relaxed, DFT PBE; values from VASP
&SYSTEM
  ibrav = 0, nat = 4, ntyp = 3
/
ATOMIC_SPECIES
Ca 40.08 Ca.upf
Ho 164.93 Ho.upf
Pd 106.42 Pd.upf
CELL_PARAMETERS angstrom
-2.194 2.294 3.817
-1.586 4.678 -0.495
-4.867 0.968 -0.151
ATOMIC_POSITIONS crystal
Ca 0.500 0.500 0.500
Ho 0.000 0.000 0.000
Pd 0.750 0.750 0.750
Pd 0.250 0.250 0.250
! Calculated volume (A^3/atom): 21.6
! Energy of formation (eV per atom): -0.79
! ρ (g/cm³): 8.0
! Space-group type: No. 225

---

No. 3
! Cs7Cd3Br13, relaxed, DFT PBE; values from VASP
&SYSTEM
  ibrav = 0, nat = 46, ntyp = 3
/
ATOMIC_SPECIES
Cs 132.91 Cs.upf
Cd 112.41 Cd.upf
Br 79.90 Br.upf
CELL_PARAMETERS angstrom
12.266 -2.780 6.734
-13.321 -4.808 1.721
2.946 -5.918 -12.642
ATOMIC_POSITIONS crystal
Cs 0.750 0.950 0.200
Cs 0.790 0.710 0.500
Cs 0.050 0.250 0.800
Cs 0.250 0.050 0.800
Cs 0.710 0.210 0.921
Cs 0.950 0.750 0.200
Cs 0.450 0.250 0.200
Cs 0.250 0.450 0.200
Cs 0.290 0.790 0.079
Cs 0.550 0.750 0.800
Cs 0.750 0.250 0.500
Cs 0.750 0.550 0.800
Cs 0.210 0.290 0.500
Cs 0.250 0.750 0.500
Cd 0.127 0.627 0.754
Cd 0.373 0.127 0.500
Cd 0.873 0.373 0.246
Cd 0.500 0.500 0.000
Cd 0.627 0.873 0.500
Cd 0.000 0.000 0.000
Br 0.656 0.012 0.668
Br 0.110 0.892 0.002
Br 0.478 0.625 0.500
Br 0.022 0.522 0.147
Br 0.512 0.156 0.668
Br 0.344 0.988 0.332
Br 0.375 0.875 0.853
Br 0.892 0.890 0.782
Br 0.844 0.512 0.355
Br 0.608 0.390 0.998
Br 0.390 0.392 0.782
Br 0.392 0.610 0.002
Br 0.522 0.375 0.500
Br 0.625 0.125 0.147
Br 0.988 0.656 0.645
Br 0.488 0.844 0.332
Br 0.012 0.344 0.355
Br 0.750 0.750 0.000
Br 0.250 0.250 0.000
Br 0.978 0.478 0.853
Br 0.875 0.022 0.500
Br 0.890 0.108 0.998
Br 0.108 0.110 0.218
Br 0.610 0.608 0.218
Br 0.156 0.488 0.645
Br 0.125 0.978 0.500
! Calculated volume (A^3/atom): 42.4
! Energy of formation (eV per atom): -1.77
! ρ (g/cm³): 3.9
! Space-group type: No. 140

---

No. 4
! CaHf8N8O4, relaxed, DFT PBE; values from VASP
&SYSTEM
  ibrav = 0, nat = 21, ntyp = 4
/
ATOMIC_SPECIES
Ca 40.08 Ca.upf
Hf 178.49 Hf.upf
N 14.01 N.upf
O 16.00 O.upf
CELL_PARAMETERS angstrom
-0.508 0.690 5.700
4.565 -0.965 3.357
-0.129 11.097 -1.239
ATOMIC_POSITIONS crystal
Ca 0.847 0.556 0.932
Hf 0.086 0.407 0.241
Hf 0.217 0.806 0.802
Hf 0.504 0.233 0.942
Hf 0.646 0.276 0.514
Hf 0.333 0.917 0.506
Hf 0.728 0.092 0.236
Hf 0.440 0.732 0.236
Hf 0.003 0.565 0.511
N 0.392 0.169 0.373
N 0.448 0.348 0.141
N 0.297 0.647 0.603
N 0.696 0.485 0.372
N 0.481 0.536 0.881
N 0.789 0.689 0.158
N 0.976 0.285 0.582
N 0.858 0.901 0.876
O 0.110 0.028 0.174
O 0.078 0.788 0.371
O 0.230 0.152 0.868
O 0.649 0.954 0.574
! Calculated volume (A^3/atom): 14.8
! Energy of formation (eV per atom): -2.08
! Excess energy over the best structure of this formula in the dataset (meV per atom): 109
! ρ (g/cm³): 8.8
! Space-group type: No. 1

---

No. 5
! Na2BrCl, relaxed, DFT PBE; values from VASP
&SYSTEM
  ibrav = 0, nat = 4, ntyp = 3
/
ATOMIC_SPECIES
Na 22.99 Na.upf
Br 79.90 Br.upf
Cl 35.45 Cl.upf
CELL_PARAMETERS angstrom
-3.725 1.696 -5.913
-3.048 -2.398 -6.056
-6.107 -0.880 -3.695
ATOMIC_POSITIONS crystal
Na 0.254 0.254 0.254
Na 0.746 0.746 0.746
Br 0.500 0.500 0.500
Cl 0.000 0.000 0.000
! Calculated volume (A^3/atom): 25.3
! Energy of formation (eV per atom): -1.84
! ρ (g/cm³): 2.6
! Space-group type: No. 166

---

No. 6
! ScBi, relaxed, DFT PBE; values from VASP
&SYSTEM
  ibrav = 0, nat = 2, ntyp = 2
/
ATOMIC_SPECIES
Sc 44.96 Sc.upf
Bi 208.98 Bi.upf
CELL_PARAMETERS angstrom
0.000 3.018 3.018
3.018 0.000 3.018
3.018 3.018 0.000
ATOMIC_POSITIONS crystal
Sc 0.500 0.500 0.500
Bi 0.000 0.000 0.000
! Calculated volume (A^3/atom): 27.5
! Energy of formation (eV per atom): -0.66
! ρ (g/cm³): 7.7
! Space-group type: No. 225

---

No. 7
! Sm3PbC, relaxed, DFT PBE; values from VASP
&SYSTEM
  ibrav = 0, nat = 5, ntyp = 3
/
ATOMIC_SPECIES
Sm 150.36 Sm.upf
Pb 207.20 Pb.upf
C 12.01 C.upf
CELL_PARAMETERS angstrom
5.808 0.000 0.000
0.000 5.808 0.000
0.000 0.000 5.808
ATOMIC_POSITIONS crystal
Sm 0.000 0.500 0.500
Sm 0.500 0.500 0.000
Sm 0.500 0.000 0.500
Pb 0.500 0.500 0.500
C 0.000 0.000 0.000
! Calculated volume (A^3/atom): 39.2
! Energy of formation (eV per atom): 1.58
! ρ (g/cm³): 5.7
! Space-group type: No. 221

---

No. 8
! MgCd, relaxed, DFT PBE; values from VASP
&SYSTEM
  ibrav = 0, nat = 6, ntyp = 2
/
ATOMIC_SPECIES
Mg 24.30 Mg.upf
Cd 112.41 Cd.upf
CELL_PARAMETERS angstrom
2.997 -4.207 -1.871
3.202 0.406 -4.446
6.016 0.225 0.883
ATOMIC_POSITIONS crystal
Mg 0.674 0.998 0.001
Mg 0.002 0.326 0.999
Mg 0.492 0.508 0.500
Cd 0.339 0.661 0.000
Cd 0.163 0.169 0.505
Cd 0.831 0.837 0.495
! Calculated volume (A^3/atom): 22.0
! Energy of formation (eV per atom): -0.07
! ρ (g/cm³): 5.2
! Space-group type: No. 5

---

No. 9
! Ba6Nd2Ti4O17, relaxed, DFT PBE; values from VASP
&SYSTEM
  ibrav = 0, nat = 58, ntyp = 4
/
ATOMIC_SPECIES
Ba 137.33 Ba.upf
Nd 144.24 Nd.upf
Ti 47.87 Ti.upf
O 16.00 O.upf
CELL_PARAMETERS angstrom
-2.269 5.268 1.976
-2.981 -5.176 1.062
15.132 -3.329 26.252
ATOMIC_POSITIONS crystal
Ba 0.000 0.000 0.750
Ba 0.000 0.000 0.250
Ba 0.333 0.667 0.313
Ba 0.667 0.333 0.813
Ba 0.667 0.333 0.687
Ba 0.333 0.667 0.187
Ba 0.667 0.333 0.411
Ba 0.333 0.667 0.911
Ba 0.333 0.667 0.589
Ba 0.667 0.333 0.089
Ba 0.000 0.000 0.500
Ba 0.000 0.000 0.000
Nd 0.000 0.000 0.374
Nd 0.000 0.000 0.874
Nd 0.000 0.000 0.626
Nd 0.000 0.000 0.126
Ti 0.667 0.333 0.296
Ti 0.333 0.667 0.796
Ti 0.333 0.667 0.704
Ti 0.667 0.333 0.204
Ti 0.333 0.667 0.447
Ti 0.667 0.333 0.947
Ti 0.667 0.333 0.553
Ti 0.333 0.667 0.053
O 0.481 0.963 0.750
O 0.519 0.481 0.250
O 0.963 0.481 0.250
O 0.037 0.519 0.750
O 0.481 0.519 0.750
O 0.519 0.037 0.250
O 0.356 0.178 0.329
O 0.822 0.178 0.329
O 0.822 0.644 0.329
O 0.178 0.356 0.829
O 0.644 0.822 0.671
O 0.644 0.822 0.829
O 0.178 0.822 0.829
O 0.822 0.644 0.171
O 0.822 0.178 0.171
O 0.178 0.822 0.671
O 0.178 0.356 0.671
O 0.356 0.178 0.171
O 0.660 0.830 0.425
O 0.170 0.830 0.425
O 0.170 0.340 0.425
O 0.830 0.660 0.925
O 0.340 0.170 0.575
O 0.340 0.170 0.925
O 0.333 0.667 0.994
O 0.667 0.333 0.494
O 0.667 0.333 0.006
O 0.333 0.667 0.506
O 0.660 0.830 0.075
O 0.830 0.660 0.575
O 0.830 0.170 0.575
O 0.170 0.830 0.075
O 0.170 0.340 0.075
O 0.830 0.170 0.925
! Calculated volume (A^3/atom): 16.8
! Energy of formation (eV per atom): -3.48
! ρ (g/cm³): 5.4
! Space-group type: No. 194

---

No. 10
! Zn2As2O7, relaxed, DFT PBE; values from VASP
&SYSTEM
  ibrav = 0, nat = 11, ntyp = 3
/
ATOMIC_SPECIES
Zn 65.41 Zn.upf
As 74.92 As.upf
O 16.00 O.upf
CELL_PARAMETERS angstrom
-4.317 0.756 -3.291
-2.138 -2.398 4.440
-1.892 3.937 2.139
ATOMIC_POSITIONS crystal
Zn 0.307 0.693 0.000
Zn 0.693 0.307 0.000
As 0.769 0.769 0.402
As 0.231 0.231 0.598
O 0.406 0.406 0.273
O 0.602 0.934 0.210
O 0.934 0.602 0.210
O 0.000 0.000 0.500
O 0.066 0.398 0.790
O 0.398 0.066 0.790
O 0.594 0.594 0.727
! Calculated volume (A^3/atom): 12.5
! Energy of formation (eV per atom): -1.72
! Excess energy over the best structure of this formula in the dataset (meV per atom): 27
! ρ (g/cm³): 4.7
! Space-group type: No. 12

---

No. 11
! BaHBrO, relaxed, DFT PBE; values from VASP
&SYSTEM
  ibrav = 0, nat = 16, ntyp = 4
/
ATOMIC_SPECIES
Ba 137.33 Ba.upf
H 1.01 H.upf
Br 79.90 Br.upf
O 16.00 O.upf
CELL_PARAMETERS angstrom
-0.448 4.345 0.831
-6.636 -1.389 3.683
5.267 -1.186 9.041
ATOMIC_POSITIONS crystal
Ba 0.250 0.697 0.408
Ba 0.250 0.197 0.092
Ba 0.750 0.303 0.592
Ba 0.750 0.803 0.908
H 0.250 0.766 0.100
H 0.250 0.266 0.400
H 0.750 0.234 0.900
H 0.750 0.734 0.600
Br 0.750 0.531 0.178
Br 0.750 0.031 0.322
Br 0.250 0.469 0.822
Br 0.250 0.969 0.678
O 0.250 0.862 0.039
O 0.250 0.362 0.461
O 0.750 0.138 0.961
O 0.750 0.638 0.539
! Calculated volume (A^3/atom): 22.6
! Energy of formation (eV per atom): -2.17
! ρ (g/cm³): 4.3
! Space-group type: No. 62

---

No. 12
! NaEuP4O12, relaxed, DFT PBE; values from VASP
&SYSTEM
  ibrav = 0, nat = 72, ntyp = 4
/
ATOMIC_SPECIES
Na 22.99 Na.upf
Eu 151.96 Eu.upf
P 30.97 P.upf
O 16.00 O.upf
CELL_PARAMETERS angstrom
-2.108 -6.160 -11.489
-2.637 -5.753 3.568
-11.714 -1.773 3.099
ATOMIC_POSITIONS crystal
Na 0.778 0.565 0.935
Na 0.222 0.435 0.065
Na 0.278 0.435 0.565
Na 0.722 0.565 0.435
Eu 0.218 0.037 0.976
Eu 0.718 0.963 0.524
Eu 0.782 0.963 0.024
Eu 0.282 0.037 0.476
P 0.590 0.930 0.802
P 0.628 0.158 0.195
P 0.101 0.506 0.244
P 0.090 0.070 0.698
P 0.385 0.614 0.264
P 0.128 0.842 0.305
P 0.872 0.158 0.695
P 0.899 0.494 0.756
P 0.410 0.070 0.198
P 0.910 0.930 0.302
P 0.615 0.386 0.736
P 0.885 0.386 0.236
P 0.372 0.842 0.805
P 0.399 0.506 0.744
P 0.115 0.614 0.764
P 0.601 0.494 0.256
O 0.146 0.404 0.898
O 0.335 0.298 0.795
O 0.789 0.176 0.606
O 0.854 0.596 0.102
O 0.610 0.861 0.709
O 0.607 0.309 0.405
O 0.420 0.797 0.291
O 0.662 0.843 0.918
O 0.478 0.850 0.867
O 0.367 0.025 0.656
O 0.110 0.139 0.791
O 0.080 0.797 0.791
O 0.646 0.596 0.602
O 0.920 0.203 0.209
O 0.133 0.025 0.156
O 0.633 0.975 0.344
O 0.625 0.406 0.165
O 0.522 0.150 0.133
O 0.393 0.691 0.595
O 0.838 0.843 0.418
O 0.665 0.702 0.205
O 0.986 0.425 0.292
O 0.354 0.404 0.398
O 0.835 0.702 0.705
O 0.289 0.824 0.894
O 0.190 0.716 0.651
O 0.338 0.157 0.082
O 0.107 0.691 0.095
O 0.867 0.975 0.844
O 0.165 0.298 0.295
O 0.390 0.139 0.291
O 0.211 0.824 0.394
O 0.486 0.575 0.208
O 0.875 0.406 0.665
O 0.014 0.575 0.708
O 0.125 0.594 0.335
O 0.893 0.309 0.905
O 0.690 0.284 0.849
O 0.022 0.850 0.367
O 0.711 0.176 0.106
O 0.375 0.594 0.835
O 0.978 0.150 0.633
O 0.890 0.861 0.209
O 0.162 0.157 0.582
O 0.810 0.284 0.349
O 0.514 0.425 0.792
O 0.310 0.716 0.151
O 0.580 0.203 0.709
! Calculated volume (A^3/atom): 13.2
! Energy of formation (eV per atom): -2.78
! ρ (g/cm³): 3.4
! Space-group type: No. 14

---

- What is the calculated volume in the sixth record?
  27.5 A^3/atom

---

- Number 9 is which compound?
  Ba6Nd2Ti4O17

---

Please write out number 12 again, unchanged.
! NaEuP4O12, relaxed, DFT PBE; values from VASP
&SYSTEM
  ibrav = 0, nat = 72, ntyp = 4
/
ATOMIC_SPECIES
Na 22.99 Na.upf
Eu 151.96 Eu.upf
P 30.97 P.upf
O 16.00 O.upf
CELL_PARAMETERS angstrom
-2.108 -6.160 -11.489
-2.637 -5.753 3.568
-11.714 -1.773 3.099
ATOMIC_POSITIONS crystal
Na 0.778 0.565 0.935
Na 0.222 0.435 0.065
Na 0.278 0.435 0.565
Na 0.722 0.565 0.435
Eu 0.218 0.037 0.976
Eu 0.718 0.963 0.524
Eu 0.782 0.963 0.024
Eu 0.282 0.037 0.476
P 0.590 0.930 0.802
P 0.628 0.158 0.195
P 0.101 0.506 0.244
P 0.090 0.070 0.698
P 0.385 0.614 0.264
P 0.128 0.842 0.305
P 0.872 0.158 0.695
P 0.899 0.494 0.756
P 0.410 0.070 0.198
P 0.910 0.930 0.302
P 0.615 0.386 0.736
P 0.885 0.386 0.236
P 0.372 0.842 0.805
P 0.399 0.506 0.744
P 0.115 0.614 0.764
P 0.601 0.494 0.256
O 0.146 0.404 0.898
O 0.335 0.298 0.795
O 0.789 0.176 0.606
O 0.854 0.596 0.102
O 0.610 0.861 0.709
O 0.607 0.309 0.405
O 0.420 0.797 0.291
O 0.662 0.843 0.918
O 0.478 0.850 0.867
O 0.367 0.025 0.656
O 0.110 0.139 0.791
O 0.080 0.797 0.791
O 0.646 0.596 0.602
O 0.920 0.203 0.209
O 0.133 0.025 0.156
O 0.633 0.975 0.344
O 0.625 0.406 0.165
O 0.522 0.150 0.133
O 0.393 0.691 0.595
O 0.838 0.843 0.418
O 0.665 0.702 0.205
O 0.986 0.425 0.292
O 0.354 0.404 0.398
O 0.835 0.702 0.705
O 0.289 0.824 0.894
O 0.190 0.716 0.651
O 0.338 0.157 0.082
O 0.107 0.691 0.095
O 0.867 0.975 0.844
O 0.165 0.298 0.295
O 0.390 0.139 0.291
O 0.211 0.824 0.394
O 0.486 0.575 0.208
O 0.875 0.406 0.665
O 0.014 0.575 0.708
O 0.125 0.594 0.335
O 0.893 0.309 0.905
O 0.690 0.284 0.849
O 0.022 0.850 0.367
O 0.711 0.176 0.106
O 0.375 0.594 0.835
O 0.978 0.150 0.633
O 0.890 0.861 0.209
O 0.162 0.157 0.582
O 0.810 0.284 0.349
O 0.514 0.425 0.792
O 0.310 0.716 0.151
O 0.580 0.203 0.709
! Calculated volume (A^3/atom): 13.2
! Energy of formation (eV per atom): -2.78
! ρ (g/cm³): 3.4
! Space-group type: No. 14